VASP calculation (r2SCAN) on EuSi2Ir2 after structural relaxation.

Summary:
* ΔE_f: -511 kJ/mol of formula units

Cell lengths 4.1081, 4.1081, 10.1742 Å; angles 90.00, 90.00, 90.00 degrees
Space group I4/mmm (No. 139)
Asymmetric unit:
Eu1 0.0000 0.0000 0.0000 x2
Si1 0.0000 0.0000 0.3724 x4
Ir1 0.0000 0.5000 0.2500 x4